# 1
Compound: SmDyTl2
Source: the Materials Project database
Functional: PBE
Structure: optimized geometry

Properties
formation energy: -0.358 eV per atom
space-group type: No. 225

Unit cell a=5.416 b=5.416 c=5.416 alpha=60.00 beta=60.00 gamma=60.00
Sites, in units of the cell vectors:
Sm 0.000 0.000 0.000
Dy 0.500 0.500 0.500
Tl 0.250 0.250 0.250
Tl 0.750 0.750 0.750

=====

# 2
Compound: Dy2Sn5
Source: the Materials Project database
Functional: PBE
Structure: optimized geometry

Properties
formation energy: -0.505 eV per atom
space-group type: No. 59

Unit cell a=4.377 b=4.460 c=19.166 alpha=90.00 beta=90.00 gamma=90.00
Sites, in units of the cell vectors:
Dy 0.000 0.500 0.871
Dy 0.000 0.000 0.301
Dy 0.500 0.500 0.699
Dy 0.500 0.000 0.129
Sn 0.000 0.000 0.735
Sn 0.500 0.000 0.425
Sn 0.500 0.000 0.844
Sn 0.500 0.000 0.577
Sn 0.500 0.500 0.265
Sn 0.000 0.500 0.423
Sn 0.000 0.500 0.575
Sn 0.000 0.500 0.156
Sn 0.000 0.000 0.998
Sn 0.500 0.500 0.002

=====

# 3
Compound: Dy5Sn13
Source: the Materials Project database
Functional: PBE
Structure: optimized geometry

Properties
formation energy: -0.504 eV per atom
space-group type: No. 71

Unit cell a=24.478 b=24.478 c=24.478 alpha=169.70 beta=169.51 gamma=14.72
Sites, in units of the cell vectors:
Dy 0.671 0.671 0.000
Dy 0.397 0.897 0.500
Dy 0.329 0.329 0.000
Dy 0.603 0.103 0.500
Dy 0.000 0.500 0.500
Sn 0.280 0.780 0.500
Sn 0.157 0.157 0.000
Sn 0.885 0.385 0.500
Sn 0.780 0.280 0.500
Sn 0.115 0.615 0.500
Sn 0.053 0.053 0.000
Sn 0.220 0.720 0.500
Sn 0.720 0.220 0.500
Sn 0.448 0.448 0.000
Sn 0.552 0.552 0.000
Sn 0.843 0.843 0.000
Sn 0.500 0.000 0.500
Sn 0.947 0.947 0.000

=====

# 4
Compound: DySn3
Source: the Materials Project database
Functional: PBE
Structure: optimized geometry

Properties
formation energy: -0.425 eV per atom
space-group type: No. 221

Unit cell a=4.710 b=4.710 c=4.710 alpha=90.00 beta=90.00 gamma=90.00
Sites, in units of the cell vectors:
Dy 0.000 0.000 0.000
Sn 0.500 0.500 0.000
Sn 0.500 0.000 0.500
Sn 0.000 0.500 0.500

=====

# 5
Compound: DySn2
Source: the Materials Project database
Functional: PBE
Structure: optimized geometry

Properties
formation energy: -0.589 eV per atom
space-group type: No. 63

Unit cell a=8.405 b=8.405 c=4.370 alpha=90.00 beta=90.00 gamma=149.27
Sites, in units of the cell vectors:
Dy 0.903 0.097 0.750
Dy 0.097 0.903 0.250
Sn 0.566 0.434 0.750
Sn 0.434 0.566 0.250
Sn 0.251 0.749 0.750
Sn 0.749 0.251 0.250

=====

# 6
Compound: Dy5Sn4
Source: the Materials Project database
Functional: PBE
Structure: optimized geometry

Properties
formation energy: -0.735 eV per atom
space-group type: No. 62
M_tot: 0.0 μB per cell

Unit cell a=8.046 b=8.149 c=15.529 alpha=90.00 beta=90.00 gamma=90.00
Sites, in units of the cell vectors:
Dy 0.368 0.835 0.879
Dy 0.868 0.665 0.621
Dy 0.632 0.165 0.379
Dy 0.132 0.335 0.121
Dy 0.632 0.165 0.121
Dy 0.132 0.335 0.379
Dy 0.368 0.835 0.621
Dy 0.868 0.665 0.879
Dy 0.522 0.320 0.902
Dy 0.022 0.180 0.598
Dy 0.478 0.680 0.402
Dy 0.978 0.820 0.098
Dy 0.478 0.680 0.098
Dy 0.978 0.820 0.402
Dy 0.522 0.320 0.598
Dy 0.022 0.180 0.902
Dy 0.197 0.503 0.750
Dy 0.697 0.997 0.750
Dy 0.803 0.497 0.250
Dy 0.303 0.003 0.250
Sn 0.292 0.033 0.042
Sn 0.792 0.467 0.458
Sn 0.708 0.967 0.542
Sn 0.208 0.533 0.958
Sn 0.708 0.967 0.958
Sn 0.208 0.533 0.542
Sn 0.292 0.033 0.458
Sn 0.792 0.467 0.042
Sn 0.565 0.620 0.750
Sn 0.065 0.880 0.750
Sn 0.435 0.380 0.250
Sn 0.935 0.120 0.250
Sn 0.329 0.145 0.750
Sn 0.829 0.355 0.750
Sn 0.671 0.855 0.250
Sn 0.171 0.645 0.250

=====

# 7
Compound: Dy5Sn3
Source: the Materials Project database
Functional: PBE
Structure: optimized geometry

Properties
formation energy: -0.720 eV per atom
space-group type: No. 193

Unit cell a=8.968 b=8.968 c=6.569 alpha=90.00 beta=90.00 gamma=120.00
Sites, in units of the cell vectors:
Dy 0.000 0.762 0.750
Dy 0.000 0.238 0.250
Dy 0.762 0.762 0.250
Dy 0.762 0.000 0.750
Dy 0.238 0.238 0.750
Dy 0.238 0.000 0.250
Dy 0.333 0.667 0.500
Dy 0.667 0.333 0.000
Dy 0.667 0.333 0.500
Dy 0.333 0.667 0.000
Sn 0.395 0.000 0.750
Sn 0.395 0.395 0.250
Sn 0.000 0.605 0.250
Sn 0.000 0.395 0.750
Sn 0.605 0.605 0.750
Sn 0.605 0.000 0.250

=====

# 8
Compound: DySn3
Source: the Materials Project database
Functional: PBE
Structure: optimized geometry

Properties
formation energy: -0.360 eV per atom
space-group type: No. 38
M_tot: 0.0 μB per cell

Unit cell a=11.291 b=11.291 c=4.452 alpha=90.00 beta=90.00 gamma=157.47
Sites, in units of the cell vectors:
Dy 0.483 0.517 0.500
Dy 0.213 0.787 0.000
Sn 0.100 0.900 0.500
Sn 0.728 0.272 0.500
Sn 0.864 0.136 0.500
Sn 0.974 0.026 0.000
Sn 0.363 0.637 0.000
Sn 0.599 0.401 0.000

=====

# 9
Compound: DyZnSn
Source: the Materials Project database
Functional: PBE
Structure: optimized geometry

Properties
formation energy: -0.589 eV per atom
space-group type: No. 194

Unit cell a=4.532 b=4.532 c=15.607 alpha=90.00 beta=90.00 gamma=120.00
Sites, in units of the cell vectors:
Dy 0.000 0.000 0.250
Dy 0.000 0.000 0.750
Dy 0.000 0.000 0.000
Dy 0.000 0.000 0.500
Zn 0.333 0.667 0.160
Zn 0.667 0.333 0.840
Zn 0.667 0.333 0.660
Zn 0.333 0.667 0.340
Sn 0.333 0.667 0.613
Sn 0.667 0.333 0.387
Sn 0.667 0.333 0.113
Sn 0.333 0.667 0.887

=====

# 10
Compound: DyThTc2
Source: the Materials Project database
Functional: PBE
Structure: optimized geometry

Properties
formation energy: -0.027 eV per atom
space-group type: No. 225
M_tot: 0.0 μB per cell

Unit cell a=4.919 b=4.919 c=4.919 alpha=60.00 beta=60.00 gamma=60.00
Sites, in units of the cell vectors:
Dy 0.500 0.500 0.500
Th 0.000 0.000 0.000
Tc 0.250 0.250 0.250
Tc 0.750 0.750 0.750

=====

# 11
Compound: DyTe
Source: the Materials Project database
Functional: PBE
Structure: optimized geometry

Properties
energy with MP2020 corrections: -5.36 eV per atom
formation energy: -1.486 eV per atom
space-group type: No. 225

Unit cell a=4.355 b=4.355 c=4.355 alpha=60.00 beta=60.00 gamma=60.00
Sites, in units of the cell vectors:
Dy 0.000 0.000 0.000
Te 0.500 0.500 0.500

=====

# 12
Compound: Dy4Te7
Source: the Materials Project database
Functional: PBE
Structure: optimized geometry

Properties
energy with MP2020 corrections: -5.18 eV per atom
formation energy: -1.504 eV per atom
space-group type: No. 115

Unit cell a=4.364 b=4.364 c=17.575 alpha=90.00 beta=90.00 gamma=90.00
Sites, in units of the cell vectors:
Dy 0.500 0.000 0.362
Dy 0.500 0.000 0.872
Dy 0.000 0.500 0.128
Dy 0.000 0.500 0.638
Te 0.500 0.000 0.180
Te 0.500 0.000 0.690
Te 0.000 0.500 0.310
Te 0.000 0.500 0.820
Te 0.500 0.500 0.500
Te 0.000 0.000 0.000
Te 0.000 0.000 0.500

=====

# 13
Compound: DyTh2
Source: the Materials Project database
Functional: PBE
Structure: optimized geometry

Properties
formation energy: 0.035 eV per atom
space-group type: No. 164

Unit cell a=3.563 b=3.563 c=8.730 alpha=90.00 beta=90.00 gamma=120.00
Sites, in units of the cell vectors:
Dy 0.000 0.000 0.000
Th 0.333 0.667 0.663
Th 0.667 0.333 0.337

=====

# 14
Compound: DyTh
Source: the Materials Project database
Functional: PBE
Structure: optimized geometry

Properties
formation energy: 0.147 eV per atom
space-group type: No. 221
M_tot: 0.0 μB per cell

Unit cell a=4.008 b=4.008 c=4.008 alpha=90.00 beta=90.00 gamma=90.00
Sites, in units of the cell vectors:
Dy 0.000 0.000 0.000
Th 0.500 0.500 0.500

=====

# 15
Compound: DyTl
Source: the Materials Project database
Functional: PBE
Structure: optimized geometry

Properties
formation energy: -0.332 eV per atom
space-group type: No. 221

Unit cell a=3.803 b=3.803 c=3.803 alpha=90.00 beta=90.00 gamma=90.00
Sites, in units of the cell vectors:
Dy 0.000 0.000 0.000
Tl 0.500 0.500 0.500

=====

# 16
Compound: Dy5Tl3
Source: the Materials Project database
Functional: PBE
Structure: optimized geometry

Properties
formation energy: -0.298 eV per atom
space-group type: No. 193
relative energy among the computed polymorphs: 0.00 eV/f.u.

Unit cell a=8.997 b=8.997 c=6.745 alpha=90.00 beta=90.00 gamma=120.00
Sites, in units of the cell vectors:
Dy 0.667 0.333 0.500
Dy 0.333 0.667 0.500
Dy 0.333 0.667 0.000
Dy 0.667 0.333 0.000
Dy 0.764 0.764 0.250
Dy 0.236 0.000 0.250
Dy 0.000 0.236 0.250
Dy 0.236 0.236 0.750
Dy 0.764 0.000 0.750
Dy 0.000 0.764 0.750
Tl 0.402 0.402 0.250
Tl 0.598 0.000 0.250
Tl 0.000 0.598 0.250
Tl 0.598 0.598 0.750
Tl 0.402 0.000 0.750
Tl 0.000 0.402 0.750

=====

# 17
Compound: DyTl3
Source: the Materials Project database
Functional: PBE
Structure: optimized geometry

Properties
formation energy: -0.233 eV per atom
space-group type: No. 221

Unit cell a=4.778 b=4.778 c=4.778 alpha=90.00 beta=90.00 gamma=90.00
Sites, in units of the cell vectors:
Dy 0.000 0.000 0.000
Tl 0.000 0.500 0.500
Tl 0.500 0.500 0.000
Tl 0.500 0.000 0.500

=====

# 18
Compound: Dy3Tl5
Source: the Materials Project database
Functional: PBE
Structure: optimized geometry

Properties
formation energy: -0.282 eV per atom
space-group type: No. 63
M_tot: 0.0 μB per cell

Unit cell a=6.525 b=6.525 c=10.573 alpha=90.00 beta=90.00 gamma=104.47
Sites, in units of the cell vectors:
Dy 0.616 0.616 0.250
Dy 0.384 0.384 0.750
Dy 0.794 0.206 0.500
Dy 0.794 0.206 0.000
Dy 0.206 0.794 0.500
Dy 0.206 0.794 0.000
Tl 0.000 0.000 0.250
Tl 0.000 0.000 0.750
Tl 0.301 0.301 0.044
Tl 0.699 0.699 0.956
Tl 0.301 0.301 0.456
Tl 0.699 0.699 0.544
Tl 0.058 0.513 0.250
Tl 0.487 0.942 0.750
Tl 0.942 0.487 0.750
Tl 0.513 0.058 0.250

=====

# 19
Compound: Dy5Tl3
Source: the Materials Project database
Functional: PBE
Structure: optimized geometry

Properties
formation energy: -0.279 eV per atom
space-group type: No. 140
relative energy among the computed polymorphs: 0.15 eV/f.u.
M_tot: 0.0 μB per cell

Unit cell a=8.049 b=8.049 c=9.201 alpha=115.94 beta=115.94 gamma=90.00
Sites, in units of the cell vectors:
Dy 0.500 0.500 0.000
Dy 0.000 0.000 0.000
Dy 0.989 0.813 0.302
Dy 0.313 0.489 0.302
Dy 0.813 0.313 0.302
Dy 0.489 0.989 0.302
Dy 0.011 0.187 0.698
Dy 0.687 0.511 0.698
Dy 0.187 0.687 0.698
Dy 0.511 0.011 0.698
Tl 0.750 0.750 0.500
Tl 0.250 0.250 0.500
Tl 0.634 0.866 0.000
Tl 0.366 0.134 0.000
Tl 0.866 0.366 0.000
Tl 0.134 0.634 0.000

=====

# 20
Compound: DyYTl2
Source: the Materials Project database
Functional: PBE
Structure: optimized geometry

Properties
formation energy: -0.357 eV per atom
space-group type: No. 225

Unit cell a=5.368 b=5.368 c=5.368 alpha=60.00 beta=60.00 gamma=60.00
Sites, in units of the cell vectors:
Dy 0.500 0.500 0.500
Y 0.000 0.000 0.000
Tl 0.250 0.250 0.250
Tl 0.750 0.750 0.750